Below is crystalline Tb4CdIr at its relaxed geometry, with properties calculated at the meta-GGA r2SCAN level.

Values from the calculation:
VASP energy: -33.490 eV/atom
theoretical density: 9.91 Mg/m³

abc: 9.6248 9.6248 9.6248
angles: 60.00 60.00 60.00
Last column: nearest neighbours and their distance in Å.
Atoms (fractional coordinates):
Tb (0.0597, 0.0597, 0.4403)  2 Ir 2.80
Tb (0.0597, 0.4403, 0.0597)  2 Ir 2.80
Tb (0.0597, 0.4403, 0.4403)  2 Ir 2.80
Tb (0.1885, 0.1885, 0.8115)  2 Cd 3.28, 2 Ir 3.46, 10 Tb 3.46-3.63
Tb (0.1885, 0.8115, 0.1885)  2 Cd 3.28, 2 Ir 3.46, 10 Tb 3.46-3.63
Tb (0.1885, 0.8115, 0.8115)  2 Cd 3.28, 2 Ir 3.46, 10 Tb 3.46-3.63
Tb (0.2036, 0.5988, 0.5988)  3 Ir 2.83
Tb (0.4403, 0.0597, 0.0597)  2 Ir 2.80
Tb (0.4403, 0.0597, 0.4403)  2 Ir 2.80
Tb (0.4403, 0.4403, 0.0597)  2 Ir 2.80
Tb (0.5988, 0.2036, 0.5988)  3 Ir 2.83
Tb (0.5988, 0.5988, 0.2036)  3 Ir 2.83
Tb (0.5988, 0.5988, 0.5988)  3 Ir 2.83
Tb (0.8115, 0.1885, 0.1885)  2 Cd 3.28, 2 Ir 3.46, 10 Tb 3.46-3.63
Tb (0.8115, 0.1885, 0.8115)  2 Cd 3.28, 2 Ir 3.46, 10 Tb 3.46-3.63
Tb (0.8115, 0.8115, 0.1885)  2 Cd 3.28, 2 Ir 3.46, 10 Tb 3.46-3.63
Cd (0.5092, 0.8303, 0.8303)  3 Cd 3.09, 6 Tb 3.28-3.43
Cd (0.8303, 0.5092, 0.8303)  3 Cd 3.09, 6 Tb 3.28-3.43
Cd (0.8303, 0.8303, 0.5092)  3 Cd 3.09, 6 Tb 3.28-3.43
Cd (0.8303, 0.8303, 0.8303)  3 Cd 3.09, 6 Tb 3.28-3.43
Ir (0.3914, 0.3914, 0.3914)  6 Tb 2.80-2.83
Ir (0.3914, 0.3914, 0.8258)  6 Tb 2.80-2.83
Ir (0.3914, 0.8258, 0.3914)  6 Tb 2.80-2.83
Ir (0.8258, 0.3914, 0.3914)  6 Tb 2.80-2.83



Below is crystalline K3Cd16 at its relaxed geometry, with properties calculated at the meta-GGA r2SCAN level.

Values from the calculation:
VASP energy: -17.997 eV/atom
theoretical density: 6.54 Mg/m³

abc: 9.1322 9.1322 11.6667
angles: 90.00 90.00 90.00
Last column: nearest neighbours and their distance in Å.
Atoms (fractional coordinates):
K (0.2500, 0.2500, 0.0850)  12 Cd 3.60-3.80, 2 K 3.85-3.91
K (0.2500, 0.2500, 0.4150)  12 Cd 3.60-3.80, 2 K 3.85-3.91
K (0.2500, 0.2500, 0.7500)  8 Cd 3.60, 2 K 3.91
K (0.7500, 0.7500, 0.2500)  8 Cd 3.60, 2 K 3.91
K (0.7500, 0.7500, 0.5850)  12 Cd 3.60-3.80, 2 K 3.85-3.91
K (0.7500, 0.7500, 0.9150)  12 Cd 3.60-3.80, 2 K 3.85-3.91
Cd (0.0945, 0.6109, 0.0624)  8 Cd 2.92-3.10
Cd (0.0945, 0.8891, 0.4376)  8 Cd 2.92-3.10
Cd (0.0998, 0.6062, 0.8124)  8 Cd 2.92-3.11
Cd (0.0998, 0.8938, 0.6876)  8 Cd 2.92-3.11
Cd (0.1062, 0.5998, 0.3124)  8 Cd 2.92-3.11
Cd (0.1062, 0.9002, 0.1876)  8 Cd 2.92-3.11
Cd (0.1109, 0.5945, 0.5624)  8 Cd 2.92-3.10
Cd (0.1109, 0.9055, 0.9376)  8 Cd 2.92-3.10
Cd (0.3891, 0.5945, 0.9376)  8 Cd 2.92-3.10
Cd (0.3891, 0.9055, 0.5624)  8 Cd 2.92-3.10
Cd (0.3938, 0.5998, 0.1876)  8 Cd 2.92-3.11
Cd (0.3938, 0.9002, 0.3124)  8 Cd 2.92-3.11
Cd (0.4002, 0.6062, 0.6876)  8 Cd 2.92-3.11
Cd (0.4002, 0.8938, 0.8124)  8 Cd 2.92-3.11
Cd (0.4055, 0.6109, 0.4376)  8 Cd 2.92-3.10
Cd (0.4055, 0.8891, 0.0624)  8 Cd 2.92-3.10
Cd (0.5945, 0.1109, 0.9376)  8 Cd 2.92-3.10
Cd (0.5945, 0.3891, 0.5624)  8 Cd 2.92-3.10
Cd (0.5998, 0.1062, 0.1876)  8 Cd 2.92-3.11
Cd (0.5998, 0.3938, 0.3124)  8 Cd 2.92-3.11
Cd (0.6062, 0.0998, 0.6876)  8 Cd 2.92-3.11
Cd (0.6062, 0.4002, 0.8124)  8 Cd 2.92-3.11
Cd (0.6109, 0.0945, 0.4376)  8 Cd 2.92-3.10
Cd (0.6109, 0.4055, 0.0624)  8 Cd 2.92-3.10
Cd (0.8891, 0.0945, 0.0624)  8 Cd 2.92-3.10
Cd (0.8891, 0.4055, 0.4376)  8 Cd 2.92-3.10
Cd (0.8938, 0.0998, 0.8124)  8 Cd 2.92-3.11
Cd (0.8938, 0.4002, 0.6876)  8 Cd 2.92-3.11
Cd (0.9002, 0.1062, 0.3124)  8 Cd 2.92-3.11
Cd (0.9002, 0.3938, 0.1876)  8 Cd 2.92-3.11
Cd (0.9055, 0.1109, 0.5624)  8 Cd 2.92-3.10
Cd (0.9055, 0.3891, 0.9376)  8 Cd 2.92-3.10



Below is crystalline K2Cd3S4 at its relaxed geometry, with properties calculated at the meta-GGA r2SCAN level.

Values from the calculation:
VASP energy: -12.619 eV/atom
theoretical density: 3.78 Mg/m³

abc: 13.9082 10.2589 6.6917
angles: 90.00 90.00 90.00
Last column: nearest neighbours and their distance in Å.
Atoms (fractional coordinates):
K (0.0000, 0.0000, 0.0000)  6 S 3.15-3.39
K (0.0000, 0.5000, 0.0000)  6 S 3.15-3.39
K (0.0309, 0.2500, 0.4834)  6 S 3.32-3.37
K (0.4691, 0.7500, 0.9834)  6 S 3.32-3.37
K (0.5000, 0.0000, 0.5000)  6 S 3.15-3.39
K (0.5000, 0.5000, 0.5000)  6 S 3.15-3.39
K (0.5309, 0.2500, 0.0166)  6 S 3.32-3.37
K (0.9691, 0.7500, 0.5166)  6 S 3.32-3.37
Cd (0.2040, 0.7500, 0.2147)  4 S 2.50-2.66
Cd (0.2484, 0.0921, 0.1547)  4 S 2.51-2.68
Cd (0.2484, 0.4079, 0.1547)  4 S 2.51-2.68
Cd (0.2516, 0.5921, 0.6547)  4 S 2.51-2.68
Cd (0.2516, 0.9079, 0.6547)  4 S 2.51-2.68
Cd (0.2960, 0.2500, 0.7147)  4 S 2.50-2.66
Cd (0.7040, 0.7500, 0.2853)  4 S 2.50-2.66
Cd (0.7484, 0.0921, 0.3453)  4 S 2.51-2.68
Cd (0.7484, 0.4079, 0.3453)  4 S 2.51-2.68
Cd (0.7516, 0.5921, 0.8453)  4 S 2.51-2.68
Cd (0.7516, 0.9079, 0.8453)  4 S 2.51-2.68
Cd (0.7960, 0.2500, 0.7853)  4 S 2.50-2.66
S (0.1348, 0.5323, 0.3751)  3 Cd 2.51-2.66
S (0.1348, 0.9677, 0.3751)  3 Cd 2.51-2.66
S (0.1420, 0.2500, 0.9246)  3 Cd 2.56-2.68
S (0.1452, 0.7500, 0.8620)  3 Cd 2.50-2.60
S (0.3548, 0.2500, 0.3620)  3 Cd 2.50-2.60
S (0.3580, 0.7500, 0.4246)  3 Cd 2.56-2.68
S (0.3652, 0.0323, 0.8751)  3 Cd 2.51-2.66
S (0.3652, 0.4677, 0.8751)  3 Cd 2.51-2.66
S (0.6348, 0.5323, 0.1249)  3 Cd 2.51-2.66
S (0.6348, 0.9677, 0.1249)  3 Cd 2.51-2.66
S (0.6420, 0.2500, 0.5754)  3 Cd 2.56-2.68
S (0.6452, 0.7500, 0.6380)  3 Cd 2.50-2.60
S (0.8548, 0.2500, 0.1380)  3 Cd 2.50-2.60
S (0.8580, 0.7500, 0.0754)  3 Cd 2.56-2.68
S (0.8652, 0.0323, 0.6249)  3 Cd 2.51-2.66
S (0.8652, 0.4677, 0.6249)  3 Cd 2.51-2.66